Crystalline Na8Zr2In2Si5SO24 at its relaxed geometry, computed with PBE-GGA.

Geometry as CIF:
```
data_Na8Zr2In2Si5SO24
_chemical_formula_sum 'Na24 Zr6 In6 Si15 S3 O72'
_symmetry_space_group_name_H-M 'P 1'
_symmetry_Int_Tables_number 1
_cell_length_a 9.2945
_cell_length_b 9.3061
_cell_length_c 22.7473
_cell_angle_alpha 89.73
_cell_angle_beta 89.96
_cell_angle_gamma 60.15
loop_
_symmetry_equiv_pos_as_xyz
'x,y,z'
loop_
_atom_site_label
_atom_site_fract_x
_atom_site_fract_y
_atom_site_fract_z
Na1 0.0000 0.0000 0.0000
Na2 0.0012 0.7468 0.5003
Na3 0.0087 0.3748 0.7452
Na4 0.0162 0.3654 0.2452
Na5 0.0475 0.6564 0.8230
Na6 0.0588 0.0161 0.3321
Na7 0.2920 0.4053 0.3205
Na8 0.3221 0.0240 0.8286
Na9 0.3294 0.7228 0.4127
Na10 0.3302 0.0664 0.1628
Na11 0.3348 0.3426 0.6661
Na12 0.3528 0.6872 0.9137
Na13 0.3764 0.9806 0.4935
Na14 0.3805 0.3607 0.9955
Na15 0.6375 0.7390 0.9950
Na16 0.6483 0.3699 0.5013
Na17 0.6539 0.4154 0.8311
Na18 0.6693 0.6754 0.3295
Na19 0.6716 0.0347 0.0753
Na20 0.6858 0.0208 0.5786
Na21 0.6995 0.6984 0.6628
Na22 0.7041 0.3344 0.1594
Na23 0.9787 0.0542 0.6597
Na24 0.9807 0.6927 0.1627
Zr1 0.0042 0.3682 0.0972
Zr2 0.0078 0.3732 0.8973
Zr3 0.3384 0.6986 0.0621
Zr4 0.6652 0.0290 0.7274
Zr5 0.6705 0.0206 0.2260
Zr6 0.9973 0.3658 0.5982
In1 0.0044 0.3647 0.3952
In2 0.3320 0.7090 0.2600
In3 0.3403 0.7057 0.5664
In4 0.3478 0.6921 0.7589
In5 0.6602 0.0354 0.9328
In6 0.6873 0.0100 0.4298
Si1 0.0047 0.0677 0.4941
Si2 0.0061 0.6654 0.9965
Si3 0.0402 0.9987 0.1636
Si4 0.0439 0.6984 0.6630
Si5 0.2981 0.0699 0.9966
Si6 0.3367 0.9976 0.6638
Si7 0.3402 0.4030 0.1650
Si8 0.3749 0.0333 0.3322
Si9 0.3752 0.3320 0.8306
Si10 0.6341 0.6940 0.1647
Si11 0.6363 0.3989 0.6625
Si12 0.6714 0.7331 0.8312
Si13 0.7058 0.6607 0.4949
Si14 0.7110 0.3647 0.9956
Si15 0.9778 0.7302 0.3305
S1 0.3027 0.3658 0.4961
S2 0.6710 0.3229 0.3300
S3 0.9663 0.0336 0.8303
O1 0.0162 0.1845 0.1555
O2 0.0228 0.5327 0.6563
O3 0.0365 0.5457 0.9386
O4 0.0419 0.1462 0.4355
O5 0.1200 0.7366 0.6043
O6 0.1293 0.8746 0.1073
O7 0.1338 0.8857 0.8257
O8 0.1526 0.9314 0.2228
O9 0.1569 0.6609 0.7220
O10 0.1653 0.8798 0.4997
O11 0.1662 0.7020 0.3255
O12 0.1763 0.6756 0.0007
O13 0.1772 0.3790 0.1575
O14 0.1775 0.1859 0.6559
O15 0.1827 0.1591 0.9377
O16 0.1893 0.2017 0.3317
O17 0.1932 0.3372 0.8330
O18 0.2042 0.3897 0.4422
O19 0.2045 0.1874 0.0531
O20 0.2191 0.3440 0.5485
O21 0.2916 0.9241 0.7217
O22 0.3033 0.5145 0.2238
O23 0.3128 0.8871 0.0007
O24 0.3184 0.5159 0.5012
O25 0.3447 0.5212 0.8257
O26 0.3651 0.8617 0.3280
O27 0.3702 0.4932 0.1076
O28 0.3841 0.8822 0.6058
O29 0.4691 0.2156 0.4935
O30 0.4698 0.0582 0.2745
O31 0.4703 0.2123 0.7735
O32 0.4812 0.0539 0.9963
O33 0.4825 0.0116 0.3921
O34 0.4916 0.2543 0.8887
O35 0.5019 0.7195 0.8261
O36 0.5028 0.0191 0.6709
O37 0.5093 0.2192 0.1693
O38 0.5137 0.7273 0.1077
O39 0.5167 0.4735 0.6050
O40 0.5234 0.4897 0.3259
O41 0.5235 0.6724 0.4998
O42 0.5281 0.5333 0.0003
O43 0.5616 0.6543 0.2238
O44 0.5682 0.5138 0.7206
O45 0.6443 0.8434 0.8898
O46 0.6490 0.8644 0.1682
O47 0.6502 0.2466 0.3844
O48 0.6650 0.2104 0.6708
O49 0.6883 0.2203 0.2778
O50 0.6882 0.8464 0.4968
O51 0.6981 0.1960 0.9929
O52 0.7030 0.8231 0.7737
O53 0.7887 0.5514 0.4356
O54 0.8012 0.3923 0.9373
O55 0.8207 0.5351 0.1576
O56 0.8245 0.3357 0.3312
O57 0.8241 0.3769 0.6555
O58 0.8257 0.0676 0.4933
O59 0.8260 0.3411 0.0532
O60 0.8283 0.5649 0.5515
O61 0.8399 0.5456 0.8331
O62 0.8431 0.8489 0.9918
O63 0.8539 0.8290 0.2740
O64 0.8546 0.0173 0.1690
O65 0.8576 0.8644 0.6699
O66 0.8639 0.0534 0.7775
O67 0.8901 0.0105 0.8837
O68 0.9072 0.8440 0.3896
O69 0.9768 0.5762 0.0536
O70 0.9796 0.1866 0.8327
O71 0.9816 0.5504 0.3323
O72 0.9854 0.1846 0.5517
```

Properties
Its crystal system is triclinic. Its total energy is -845.69 eV/cell. The size of the total moment comes out at 0.0 Bohr magnetons per cell.


Crystalline Na5ZrIn3Si3S3O24 at its relaxed geometry, computed with PBE-GGA.

Geometry as CIF:
```
data_Na5ZrIn3Si3S3O24
_chemical_formula_sum 'Na15 Zr3 In9 Si9 S9 O72'
_symmetry_space_group_name_H-M 'P 1'
_symmetry_Int_Tables_number 1
_cell_length_a 9.1633
_cell_length_b 9.1689
_cell_length_c 22.9406
_cell_angle_alpha 89.74
_cell_angle_beta 89.46
_cell_angle_gamma 60.19
loop_
_symmetry_equiv_pos_as_xyz
'x,y,z'
loop_
_atom_site_label
_atom_site_fract_x
_atom_site_fract_y
_atom_site_fract_z
Na1 0.0000 0.0000 0.0000
Na2 0.0007 0.0289 0.4976
Na3 0.3035 0.0607 0.5830
Na4 0.3107 0.3490 0.6703
Na5 0.3121 0.3807 0.1642
Na6 0.3187 0.6733 0.0878
Na7 0.3768 0.9668 0.9057
Na8 0.3777 0.6952 0.4037
Na9 0.6376 0.3923 0.2431
Na10 0.6550 0.7096 0.3279
Na11 0.6673 0.7096 0.8313
Na12 0.6911 0.3193 0.5713
Na13 0.6966 0.3542 0.9210
Na14 0.7021 0.0304 0.0702
Na15 0.9844 0.3393 0.4240
Zr1 0.0265 0.0072 0.3479
Zr2 0.0307 0.9975 0.8485
Zr3 0.3524 0.3576 0.0147
In1 0.0223 0.0014 0.1456
In2 0.0288 0.0228 0.6515
In3 0.3474 0.3366 0.5106
In4 0.3599 0.3434 0.3143
In5 0.3662 0.3309 0.8129
In6 0.6826 0.6723 0.1779
In7 0.6842 0.6778 0.4796
In8 0.6866 0.6786 0.6852
In9 0.6966 0.6709 0.9807
Si1 0.3222 0.7070 0.2444
Si2 0.3274 0.0139 0.7441
Si3 0.3542 0.0455 0.4136
Si4 0.3574 0.6381 0.9108
Si5 0.6502 0.0430 0.9143
Si6 0.6510 0.3446 0.4148
Si7 0.6891 0.3739 0.0800
Si8 0.9785 0.6765 0.0823
Si9 0.9805 0.3871 0.5799
S1 0.0202 0.7182 0.7447
S2 0.0211 0.3058 0.2471
S3 0.0548 0.6438 0.4125
S4 0.0592 0.3423 0.9103
S5 0.3815 0.6789 0.5798
S6 0.3855 0.9798 0.0785
S7 0.6894 0.9747 0.5808
S8 0.7223 0.0101 0.2466
S9 0.7217 0.3074 0.7458
O1 0.0064 0.8235 0.7967
O2 0.0072 0.2154 0.3006
O3 0.0185 0.8345 0.0830
O4 0.0293 0.8043 0.6905
O5 0.0346 0.2075 0.1947
O6 0.0370 0.8138 0.4053
O7 0.0496 0.1820 0.9067
O8 0.1309 0.5379 0.3605
O9 0.1318 0.3681 0.8569
O10 0.1624 0.5732 0.4648
O11 0.1637 0.3193 0.9624
O12 0.1660 0.5066 0.0747
O13 0.1695 0.3273 0.2507
O14 0.1732 0.5524 0.7479
O15 0.1753 0.3544 0.5776
O16 0.1883 0.0157 0.4050
O17 0.1930 0.8311 0.9058
O18 0.2091 0.8276 0.5856
O19 0.2137 0.0004 0.7991
O20 0.2171 0.8199 0.3025
O21 0.2167 0.9975 0.0854
O22 0.2241 0.7960 0.1844
O23 0.2361 0.0279 0.6808
O24 0.2993 0.1583 0.4736
O25 0.3287 0.5558 0.9710
O26 0.3364 0.1868 0.7487
O27 0.3463 0.5152 0.2482
O28 0.3686 0.1482 0.0719
O29 0.3705 0.1427 0.3575
O30 0.3746 0.5207 0.5750
O31 0.3832 0.5177 0.8561
O32 0.4512 0.7127 0.5249
O33 0.4586 0.8756 0.0252
O34 0.4903 0.6580 0.6298
O35 0.4946 0.9034 0.1301
O36 0.5112 0.8380 0.7454
O37 0.5120 0.6892 0.2458
O38 0.5161 0.8554 0.4191
O39 0.5180 0.3517 0.0746
O40 0.5212 0.1198 0.8599
O41 0.5252 0.6580 0.9154
O42 0.5283 0.3908 0.3584
O43 0.5372 0.1480 0.5777
O44 0.5503 0.3331 0.7481
O45 0.5546 0.1654 0.2508
O46 0.5597 0.1628 0.9726
O47 0.5648 0.3255 0.4757
O48 0.6394 0.4936 0.1381
O49 0.6598 0.8949 0.6321
O50 0.6745 0.8553 0.9200
O51 0.6835 0.5067 0.4169
O52 0.7081 0.8796 0.5263
O53 0.7093 0.4573 0.0197
O54 0.7091 0.8570 0.2472
O55 0.7195 0.4704 0.7465
O56 0.7962 0.0330 0.1915
O57 0.7957 0.2136 0.6897
O58 0.8250 0.2074 0.7963
O59 0.8272 0.0504 0.9053
O60 0.8281 0.0036 0.2969
O61 0.8398 0.1761 0.4068
O62 0.8408 0.9949 0.5860
O63 0.8498 0.1833 0.0866
O64 0.8504 0.7283 0.0278
O65 0.8612 0.4700 0.2478
O66 0.8666 0.7033 0.7461
O67 0.8756 0.4627 0.5187
O68 0.8779 0.5019 0.6356
O69 0.8847 0.4822 0.9159
O70 0.8861 0.6631 0.4193
O71 0.8936 0.6572 0.1425
O72 0.9936 0.1961 0.5826
```

Properties
Its crystal system is triclinic. Its total energy is -746.02 eV/cell. The size of the total moment comes out at 0.0 Bohr magnetons per cell.


Crystalline NaZnIn3S6O24 at its relaxed geometry, computed with PBE-GGA.

Geometry as CIF:
```
data_NaZnIn3S6O24
_chemical_formula_sum 'Na3 Zn3 In9 S18 O72'
_symmetry_space_group_name_H-M 'P 1'
_symmetry_Int_Tables_number 1
_cell_length_a 8.8604
_cell_length_b 8.8604
_cell_length_c 23.0708
_cell_angle_alpha 90.00
_cell_angle_beta 90.00
_cell_angle_gamma 120.00
loop_
_symmetry_equiv_pos_as_xyz
'x,y,z'
loop_
_atom_site_label
_atom_site_fract_x
_atom_site_fract_y
_atom_site_fract_z
Na1 0.0000 0.0000 0.0000
Na2 0.0000 0.0000 0.4977
Na3 0.3333 0.6667 0.1619
Zn1 0.0000 0.0000 0.1463
Zn2 0.3333 0.6667 0.0153
Zn3 0.3333 0.6667 0.5180
In1 0.0000 0.0000 0.3479
In2 0.0000 0.0000 0.6462
In3 0.0000 0.0000 0.8491
In4 0.3333 0.6667 0.3138
In5 0.3333 0.6667 0.8120
In6 0.6667 0.3333 0.1833
In7 0.6667 0.3333 0.4778
In8 0.6667 0.3333 0.6832
In9 0.6667 0.3333 0.9784
S1 0.0001 0.2933 0.7476
S2 0.0004 0.7094 0.2462
S3 0.0431 0.3759 0.4157
S4 0.0433 0.6668 0.9155
S5 0.2906 0.2910 0.2462
S6 0.2933 0.9999 0.7476
S7 0.3332 0.3765 0.9155
S8 0.3328 0.9569 0.4157
S9 0.3706 0.0373 0.0809
S10 0.3741 0.3365 0.5803
S11 0.6235 0.9567 0.9155
S12 0.6241 0.6672 0.4157
S13 0.6635 0.0376 0.5803
S14 0.6666 0.6294 0.0809
S15 0.7067 0.7067 0.7476
S16 0.7090 0.9996 0.2462
S17 0.9624 0.6259 0.5803
S18 0.9627 0.3334 0.0809
O1 0.0242 0.1984 0.4091
O2 0.0245 0.8256 0.9091
O3 0.0310 0.8191 0.1949
O4 0.0325 0.2164 0.6954
O5 0.1161 0.4785 0.3618
O6 0.1172 0.6378 0.8618
O7 0.1338 0.6438 0.5722
O8 0.1358 0.4916 0.0740
O9 0.1524 0.6976 0.9669
O10 0.1527 0.4551 0.4670
O11 0.1564 0.4660 0.7549
O12 0.1592 0.6910 0.2528
O13 0.1744 0.1989 0.9091
O14 0.1742 0.9758 0.4091
O15 0.1809 0.2119 0.1949
O16 0.1839 0.9675 0.6954
O17 0.1975 0.0224 0.0878
O18 0.1983 0.1750 0.5865
O19 0.2164 0.0325 0.7999
O20 0.2172 0.1880 0.3000
O21 0.3024 0.4548 0.9669
O22 0.3024 0.8473 0.4670
O23 0.3090 0.4681 0.2528
O24 0.3097 0.8436 0.7549
O25 0.3562 0.4900 0.5722
O26 0.3558 0.8642 0.0740
O27 0.3622 0.4794 0.8618
O28 0.3624 0.8839 0.3618
O29 0.4492 0.1477 0.0285
O30 0.4500 0.2991 0.5285
O31 0.4654 0.3105 0.2402
O32 0.4660 0.1563 0.7403
O33 0.4798 0.3631 0.6331
O34 0.4809 0.1158 0.1334
O35 0.4881 0.1319 0.4216
O36 0.4882 0.3564 0.9215
O37 0.5084 0.6442 0.0740
O38 0.5100 0.8662 0.5722
O39 0.5215 0.6376 0.3618
O40 0.5206 0.8828 0.8618
O41 0.5319 0.8408 0.2528
O42 0.5340 0.6903 0.7549
O43 0.5449 0.6976 0.4670
O44 0.5452 0.8476 0.9669
O45 0.6349 0.5191 0.1334
O46 0.6369 0.1167 0.6331
O47 0.6436 0.1318 0.9215
O48 0.6438 0.5119 0.4216
O49 0.6895 0.1549 0.2402
O50 0.6903 0.5340 0.7403
O51 0.6984 0.5508 0.0285
O52 0.7009 0.1508 0.5285
O53 0.7836 0.8161 0.6954
O54 0.7881 0.9690 0.1949
O55 0.8011 0.9755 0.9091
O56 0.8016 0.8258 0.4091
O57 0.8120 0.0292 0.3000
O58 0.8161 0.7836 0.7999
O59 0.8250 0.0233 0.5865
O60 0.8249 0.8025 0.0878
O61 0.8437 0.3097 0.7403
O62 0.8451 0.5346 0.2402
O63 0.8492 0.5500 0.5285
O64 0.8523 0.3016 0.0285
O65 0.8681 0.3562 0.4216
O66 0.8682 0.5118 0.9215
O67 0.8833 0.5202 0.6331
O68 0.8842 0.3651 0.1334
O69 0.9675 0.1840 0.7999
O70 0.9708 0.7828 0.3000
O71 0.9767 0.8017 0.5865
O72 0.9776 0.1751 0.0878
```

Properties
Its crystal system is trigonal. Its total energy is -616.66 eV/cell. The size of the total moment comes out at 0.0 Bohr magnetons per cell.


Crystalline Na4ScIn3Si8O24 at its relaxed geometry, computed with PBE-GGA.

Geometry as CIF:
```
data_Na4ScIn3Si8O24
_chemical_formula_sum 'Na4 Sc1 In3 Si8 O24'
_symmetry_space_group_name_H-M 'P 1'
_symmetry_Int_Tables_number 1
_cell_length_a 7.7325
_cell_length_b 7.7325
_cell_length_c 10.0528
_cell_angle_alpha 116.12
_cell_angle_beta 116.12
_cell_angle_gamma 73.33
loop_
_symmetry_equiv_pos_as_xyz
'x,y,z'
loop_
_atom_site_label
_atom_site_fract_x
_atom_site_fract_y
_atom_site_fract_z
Na1 0.0000 0.0000 0.0000
Na2 0.3568 0.1446 0.7501
Na3 0.5008 0.4992 0.5000
Na4 0.8554 0.6432 0.2499
Sc1 0.9121 0.0879 0.5000
In1 0.4092 0.5908 0.0000
In2 0.4492 0.0537 0.2513
In3 0.9463 0.5508 0.7487
Si1 0.1365 0.3586 0.4569
Si2 0.1406 0.3632 0.0437
Si3 0.2138 0.7819 0.7058
Si4 0.2181 0.7862 0.2942
Si5 0.6368 0.8594 0.9563
Si6 0.6414 0.8635 0.5431
Si7 0.7154 0.2809 0.2076
Si8 0.7191 0.2846 0.7924
O1 0.0276 0.9121 0.3319
O2 0.0800 0.3129 0.5777
O3 0.0879 0.9724 0.6681
O4 0.1733 0.7291 0.8311
O5 0.1763 0.5913 0.5357
O6 0.1780 0.5537 0.2147
O7 0.1819 0.4157 0.9184
O8 0.2638 0.1686 0.0729
O9 0.2709 0.8267 0.1689
O10 0.3312 0.2364 0.4273
O11 0.4087 0.8237 0.4643
O12 0.4463 0.8220 0.7853
O13 0.5248 0.4075 0.8227
O14 0.5843 0.8181 0.0816
O15 0.5925 0.4752 0.1773
O16 0.6765 0.0917 0.0357
O17 0.6791 0.0522 0.7148
O18 0.6788 0.2255 0.3331
O19 0.6871 0.9200 0.4223
O20 0.7636 0.6688 0.5727
O21 0.7745 0.3212 0.6669
O22 0.8314 0.7362 0.9271
O23 0.9083 0.3235 0.9643
O24 0.9478 0.3209 0.2852
```

Properties
Its crystal system is monoclinic. Its total energy is -282.70 eV/cell. The size of the total moment comes out at 0.0 Bohr magnetons per cell.